1.
The following is a DFT calculation (meta-GGA r2SCAN) of an optimized crystal structure of CaH2.

a b c (Å): 5.8988 3.5683 6.7746
angles (deg): 90.00 90.00 90.00
With the nearest neighbours (Å) after each atom.
Space group Pnma (No. 62)
Unique sites:
Ca 0.2395 0.2500 0.1108 [4 per cell]  7 H 2.24-2.50
H 0.0259 0.7500 0.3229 [4 per cell]  5 Ca 2.39-2.61, 2 H 2.66
H 0.1445 0.7500 0.9275 [4 per cell]  4 Ca 2.24-2.28

Results
DFT total energy: -5.3164 eV/atom
Total moment: 0.00 μB per cell
Energy relative to the elements: -0.6669 eV/atom

---

2.
The following is a DFT calculation (meta-GGA r2SCAN) of an optimized crystal structure of CaH2.

a b c (Å): 3.7881 6.6212 5.3461
angles (deg): 90.00 90.00 90.00
With the nearest neighbours (Å) after each atom.
Space group Cmcm (No. 63)
Unique sites:
Ca 0.0000 0.1644 0.2500 [4 per cell]  3 H 2.20
H 0.0000 0.1678 0.7500 [4 per cell]  3 Ca 2.20
H 0.0000 0.5000 0.0000 [4 per cell]  6 Ca 2.56-2.59, 8 H 2.57-2.67

Results
DFT total energy: -5.2554 eV/atom
Total moment: 0.00 μB per cell
Energy relative to the elements: -0.6059 eV/atom

---

3.
The following is a DFT calculation (meta-GGA r2SCAN) of an optimized crystal structure of CaHI.

a b c (Å): 4.0233 4.0233 9.3431
angles (deg): 90.00 90.00 90.00
With the nearest neighbours (Å) after each atom.
Space group P4/nmm (No. 129, origin choice 2)
Unique sites:
Ca 0.2500 0.2500 0.1302 [2 per cell]  4 H 2.35
H 0.2500 0.7500 0.0000 [2 per cell]  4 Ca 2.35
I 0.2500 0.2500 0.6998 [2 per cell]  4 Ca 3.26, 4 H 3.45

Results
DFT total energy: -12.9679 eV/atom
Total moment: 0.00 μB per cell
Energy relative to the elements: -1.2839 eV/atom

---

4.
The following is a DFT calculation (meta-GGA r2SCAN) of an optimized crystal structure of KCaH6N3.

a b c (Å): 6.5908 11.5445 6.6493
angles (deg): 90.00 107.47 90.00
With the nearest neighbours (Å) after each atom.
Space group P2_1/c (No. 14)
Unique sites:
K 0.2470 0.0878 0.1213 [4 per cell]  6 H 2.67-2.94, 3 N 2.90-2.97
Ca 0.3319 0.7387 0.5839 [4 per cell]  6 N 2.46-2.56, 1 H 2.67
H 0.0323 0.5956 0.8254 [4 per cell]  1 N 1.02
H 0.0576 0.2160 0.7838 [4 per cell]  1 N 1.02
H 0.1421 0.5872 0.2229 [4 per cell]  1 N 1.03
H 0.2544 0.1632 0.5736 [4 per cell]  1 N 1.02
H 0.3477 0.5080 0.2851 [4 per cell]  1 N 1.02
H 0.4536 0.0859 0.5692 [4 per cell]  1 N 1.03
N 0.0792 0.6681 0.7632 [4 per cell]  2 H 1.02
N 0.2982 0.5884 0.3142 [4 per cell]  2 H 1.02-1.03
N 0.4078 0.1707 0.5699 [4 per cell]  2 H 1.02-1.03

Results
DFT total energy: -6.1621 eV/atom
Total moment: 0.00 μB per cell
Energy relative to the elements: -0.6008 eV/atom

---

> Among the records above, which one has the highest energy relative to the elements?

KCaH6N3

---

What did the second record say?
The following is a DFT calculation (meta-GGA r2SCAN) of an optimized crystal structure of CaH2.

a b c (Å): 3.7881 6.6212 5.3461
angles (deg): 90.00 90.00 90.00
With the nearest neighbours (Å) after each atom.
Space group Cmcm (No. 63)
Unique sites:
Ca 0.0000 0.1644 0.2500 [4 per cell]  3 H 2.20
H 0.0000 0.1678 0.7500 [4 per cell]  3 Ca 2.20
H 0.0000 0.5000 0.0000 [4 per cell]  6 Ca 2.56-2.59, 8 H 2.57-2.67

Results
DFT total energy: -5.2554 eV/atom
Total moment: 0.00 μB per cell
Energy relative to the elements: -0.6059 eV/atom

---

> The highest DFT total energy belongs to which entry?

number 2